## Zr5Ir2Os (PBE)

Data for a geometry-optimized Zr5Ir2Os structure.

Cell: 5.5863 13.9632 8.0405 Å, 90.00 90.00 90.00°
Last column: nearest neighbours and their distance in Å.
Space group Amm2 (No. 38)
Inequivalent atoms, fractional coordinates:
Zr 0.0000 0.0000 0.0000  5 Ir 2.80-3.06
Zr 0.0000 0.1209 0.6377  3 Ir 2.80-2.90, 2 Os 3.08
Zr 0.2508 0.1670 0.2579  2 Zr 2.78-2.80, 2 Os 2.82, 4 Ir 2.83-2.84
Zr 0.5000 0.0000 0.5172  2 Os 2.82, 3 Ir 2.90-3.07
Zr 0.5000 0.1219 0.8746  2 Os 2.78-2.88, 3 Ir 2.84-3.07
Ir 0.0000 0.0000 0.3587  9 Zr 2.81-3.07
Ir 0.0000 0.1993 0.9577  9 Zr 2.80-3.07
Ir 0.5000 0.0000 0.1568  9 Zr 2.83-3.06
Os 0.5000 0.2005 0.5573  9 Zr 2.78-3.08

Crystal system ... orthorhombic
Size of the total moment ... 0.0 μB/cell
DFT formation energy ... -0.61 eV/atom